1.
# ScZnPt

A relaxed ScZnPt crystal (r2SCAN, the Materials Project).

POSCAR file:
```
ScZnPt
1.0
2.1162 -4.6432 0.0000
2.1162 4.6432 0.0000
0.0000 0.0000 5.2410
Sc Zn Pt
2 2 2
direct
0.7099 0.2901 0.2500 Sc
0.2901 0.7099 0.7500 Sc
0.0000 0.0000 0.5000 Zn
0.0000 0.0000 0.0000 Zn
0.5988 0.4012 0.7500 Pt
0.4012 0.5988 0.2500 Pt
```

## Properties
- Space group: Cmcm (63)
- ΔE_f: -1.01 eV per atom
- Magnetization: 0.00 μB per formula unit

2.
# Li4MoO5

A relaxed Li4MoO5 crystal (r2SCAN, the Materials Project).

POSCAR file:
```
Li4MoO5
1.0
3.4420 -1.2125 3.4562
-4.8976 -1.0982 -0.2659
1.7084 -2.6574 -3.9093
Li O Mo
4 5 1
direct
0.1892 0.4038 0.5890 Li
0.8148 0.6001 0.4110 Li
0.4038 0.8148 0.2146 Li
0.6002 0.1892 0.7854 Li
0.8970 0.2603 0.1860 O
0.7110 0.8970 0.6367 O
0.2603 0.0743 0.3633 O
0.4814 0.4814 0.0000 O
0.0743 0.7110 0.8140 O
0.0496 0.0496 0.0000 Mo
```

## Properties
- Space group: I4 (79)
- ΔE_f: -2.31 eV per atom
- Magnetization: 0.00 μB per formula unit
- Polymorph energy (0 for the lowest one): 0.021 eV/atom

3.
# Sc2RuRh

A relaxed Sc2RuRh crystal (r2SCAN, the Materials Project).

POSCAR file:
```
Sc2RuRh
1.0
0.0000 3.2047 3.2047
3.2047 0.0000 3.2047
3.2047 3.2047 0.0000
Rh Ru Sc
1 1 2
direct
0.2500 0.2500 0.2500 Rh
0.7500 0.7500 0.7500 Ru
0.0000 0.0000 0.0000 Sc
0.5000 0.5000 0.5000 Sc
```

## Properties
- Space group: Fm-3m (225)
- ΔE_f: -0.84 eV per atom
- Magnetization: 0.00 μB per formula unit

What is the formula in the second record? Li4MoO5